#i
This record from the Materials Project database describes an optimized crystal structure of PrDy3. The functional is meta-GGA r2SCAN.

Computed properties:
- Total magnetization: 4.8 Bohr magnetons per cell

abc: 7.313 7.313 5.834
angles: 90.00 90.00 120.00
Fractional coordinates of all 8 atoms:
Pr  0.333  0.667  0.750
Pr  0.667  0.333  0.250
Dy  0.164  0.328  0.250
Dy  0.672  0.836  0.250
Dy  0.164  0.836  0.250
Dy  0.836  0.672  0.750
Dy  0.328  0.164  0.750
Dy  0.836  0.164  0.750

#ii
This record from the Materials Project database describes an optimized crystal structure of PrDy3. The functional is meta-GGA r2SCAN.

Computed properties:
- Total magnetization: 0.0 Bohr magnetons per cell

abc: 5.077 5.077 5.077
angles: 90.00 90.00 90.00
Fractional coordinates of all 4 atoms:
Pr  0.000  0.000  0.000
Dy  0.000  0.500  0.500
Dy  0.500  0.000  0.500
Dy  0.500  0.500  0.000

Relative energies, unit meV per atom: #i 0; #ii 32

#i
This record from the Materials Project database describes an optimized crystal structure of Sm3Dy. The functional is meta-GGA r2SCAN.

Computed properties:
- Total magnetization: 0.0 Bohr magnetons per cell

abc: 6.242 6.242 6.242
angles: 131.67 131.67 70.76
Fractional coordinates of all 4 atoms:
Sm  0.750  0.250  0.500
Sm  0.250  0.750  0.500
Sm  0.500  0.500  0.000
Dy  0.000  0.000  0.000

#ii
This record from the Materials Project database describes an optimized crystal structure of Sm3Dy. The functional is meta-GGA r2SCAN.

Computed properties:
- Total magnetization: 4.7 Bohr magnetons per cell

abc: 7.355 7.355 5.874
angles: 90.00 90.00 120.00
Fractional coordinates of all 8 atoms:
Sm  0.168  0.337  0.250
Sm  0.663  0.832  0.250
Sm  0.168  0.832  0.250
Sm  0.832  0.663  0.750
Sm  0.337  0.168  0.750
Sm  0.832  0.168  0.750
Dy  0.333  0.667  0.750
Dy  0.667  0.333  0.250

Relative energies, unit meV per atom: #i 16; #ii 0

#i
This record from the Materials Project database describes an optimized crystal structure of Er. The functional is meta-GGA r2SCAN.

Computed properties:
- Total magnetization: 0.0 Bohr magnetons per cell

abc: 3.588 3.588 5.507
angles: 90.00 90.00 120.00
Fractional coordinates of all 2 atoms:
Er  0.333  0.667  0.250
Er  0.667  0.333  0.750

#ii
This record from the Materials Project database describes an optimized crystal structure of Er. The functional is meta-GGA r2SCAN.

Computed properties:
- Total magnetization: 0.0 Bohr magnetons per cell

abc: 3.507 3.507 3.507
angles: 60.00 60.00 60.00
Fractional coordinates of all 1 atoms:
Er  0.000  0.000  0.000

#iii
This record from the Materials Project database describes an optimized crystal structure of Er. The functional is meta-GGA r2SCAN.

Computed properties:
- Total magnetization: 0.0 Bohr magnetons per cell

abc: 3.548 3.548 8.743
angles: 90.00 78.28 120.00
Fractional coordinates of all 3 atoms:
Er  0.000  0.000  0.000
Er  0.444  0.222  0.334
Er  0.556  0.778  0.666

#iv
This record from the Materials Project database describes an optimized crystal structure of Er. The functional is meta-GGA r2SCAN.

Computed properties:
- Total magnetization: 0.0 Bohr magnetons per cell

abc: 3.426 3.426 3.426
angles: 109.47 109.47 109.47
Fractional coordinates of all 1 atoms:
Er  0.000  0.000  0.000

Relative energies, unit meV per atom: #i 12; #ii 67; #iii 0; #iv 139

#i
This record from the Materials Project database describes an optimized crystal structure of Pm3Er. The functional is meta-GGA r2SCAN.

Computed properties:
- Total magnetization: 0.1 Bohr magnetons per cell

abc: 7.422 7.422 5.741
angles: 90.00 90.00 120.00
Fractional coordinates of all 8 atoms:
Pm  0.167  0.335  0.250
Pm  0.665  0.833  0.250
Pm  0.167  0.833  0.250
Pm  0.833  0.665  0.750
Pm  0.335  0.167  0.750
Pm  0.833  0.167  0.750
Er  0.333  0.667  0.750
Er  0.667  0.333  0.250

#ii
This record from the Materials Project database describes an optimized crystal structure of Pm3Er. The functional is meta-GGA r2SCAN.

Computed properties:
- Total magnetization: 0.0 Bohr magnetons per cell

abc: 6.264 6.264 6.264
angles: 131.81 131.81 70.53
Fractional coordinates of all 4 atoms:
Pm  0.750  0.250  0.500
Pm  0.250  0.750  0.500
Pm  0.500  0.500  0.000
Er  0.000  0.000  0.000

Relative energies, unit meV per atom: #i 0; #ii 6